[1]
Al45Cr7, relaxed, DFT r²SCAN; VASP energy = -413.317 eV/cell
1.0
10.211 -3.743 0.000
10.211 3.743 0.000
-3.259 0.000 10.343
Al Cr
45 7
Direct
0.000 0.000 0.000
0.018 0.395 0.634
0.023 0.023 0.257
0.028 0.642 0.646
0.115 0.115 0.728
0.115 0.747 0.509
0.123 0.497 0.882
0.126 0.126 0.133
0.132 0.506 0.145
0.208 0.208 0.986
0.253 0.885 0.491
0.258 0.651 0.878
0.276 0.276 0.508
0.276 0.652 0.295
0.348 0.724 0.705
0.349 0.742 0.122
0.358 0.972 0.354
0.371 0.371 0.387
0.395 0.018 0.634
0.411 0.411 0.655
0.419 0.419 0.059
0.494 0.868 0.855
0.497 0.123 0.882
0.503 0.877 0.118
0.506 0.132 0.145
0.581 0.581 0.941
0.589 0.589 0.345
0.605 0.982 0.366
0.629 0.629 0.613
0.642 0.028 0.646
0.651 0.258 0.878
0.652 0.276 0.295
0.724 0.348 0.705
0.724 0.724 0.492
0.742 0.349 0.122
0.747 0.115 0.509
0.792 0.792 0.014
0.868 0.494 0.855
0.874 0.874 0.867
0.877 0.503 0.118
0.885 0.253 0.491
0.885 0.885 0.272
0.972 0.358 0.354
0.977 0.977 0.743
0.982 0.605 0.366
0.087 0.743 0.082
0.249 0.249 0.261
0.257 0.913 0.918
0.500 0.500 0.500
0.743 0.087 0.082
0.751 0.751 0.739
0.913 0.257 0.918

---

[2]
EuBr3, relaxed, DFT r²SCAN; VASP energy = -171.043 eV/cell
1.0
2.059 -6.706 0.000
2.059 6.706 0.000
0.000 0.000 9.125
Eu Br
2 6
Direct
0.246 0.754 0.750
0.754 0.246 0.250
0.146 0.854 0.066
0.146 0.854 0.434
0.409 0.591 0.250
0.591 0.409 0.750
0.854 0.146 0.566
0.854 0.146 0.934

---

[3]
Ce3Ni13B2, relaxed, DFT r²SCAN; VASP energy = -269.710 eV/cell
1.0
4.903 0.000 0.000
-2.451 4.246 0.000
0.000 0.000 10.952
Ce Ni B
3 13 2
Direct
0.000 0.000 0.000
0.000 0.000 0.333
0.000 0.000 0.667
0.000 0.500 0.134
0.000 0.500 0.500
0.000 0.500 0.866
0.333 0.667 0.318
0.333 0.667 0.682
0.500 0.000 0.134
0.500 0.000 0.500
0.500 0.000 0.866
0.500 0.500 0.134
0.500 0.500 0.500
0.500 0.500 0.866
0.667 0.333 0.318
0.667 0.333 0.682
0.333 0.667 0.000
0.667 0.333 0.000

---

[4]
LaSiAs3, relaxed, DFT r²SCAN; VASP energy = -691.424 eV/cell
1.0
5.919 0.000 0.000
0.000 26.602 0.000
0.000 0.000 6.050
La Si As
8 8 24
Direct
0.002 0.092 0.001
0.002 0.408 0.501
0.498 0.592 0.001
0.498 0.908 0.501
0.502 0.092 0.499
0.502 0.408 0.999
0.998 0.592 0.499
0.998 0.908 0.999
0.082 0.707 0.913
0.082 0.793 0.413
0.418 0.207 0.913
0.418 0.293 0.413
0.582 0.707 0.587
0.582 0.793 0.087
0.918 0.207 0.587
0.918 0.293 0.087
0.004 0.125 0.496
0.004 0.375 0.996
0.022 0.212 0.959
0.022 0.288 0.459
0.250 0.000 0.250
0.250 0.000 0.750
0.250 0.500 0.250
0.250 0.500 0.750
0.478 0.712 0.959
0.478 0.788 0.459
0.496 0.625 0.496
0.496 0.875 0.996
0.504 0.125 0.004
0.504 0.375 0.504
0.522 0.212 0.541
0.522 0.288 0.041
0.750 0.000 0.250
0.750 0.000 0.750
0.750 0.500 0.250
0.750 0.500 0.750
0.978 0.712 0.541
0.978 0.788 0.041
0.996 0.625 0.004
0.996 0.875 0.504

---

Theoretical density for every record listed, in sequence, given in g/cm3: 3.31, 5.16, 8.78, 5.46.